No. 1
Here is an optimized crystal structure of SmErIn2 from the Materials Project. Energies are from PBE.

## Properties
Its final energy is -4.16 eV per atom.

Cell lengths 5.350, 5.350, 5.350 Å; angles 60.00, 60.00, 60.00 degrees
Sites, in units of the cell vectors:
In  0.750  0.750  0.750
In  0.250  0.250  0.250
Sm  0.000  0.000  0.000
Er  0.500  0.500  0.500

***

No. 2
Here is an optimized crystal structure of K2Be2Zn2Si3O11 from the Materials Project. Energies are from PBE.

## Properties
As for the spin magnetization: 0.00 μB/cell. The MP2020-corrected energy comes out at -6.958 eV/atom. Its final energy is -6.58 eV per atom.

Cell lengths 9.646, 9.646, 9.646 Å; angles 138.55, 119.27, 76.21 degrees
Sites, in units of the cell vectors:
O  0.144  0.778  0.765
K  0.612  0.862  0.750
O  0.487  0.621  0.265
O  0.856  0.222  0.235
Be  0.500  0.825  0.325
O  0.487  0.222  0.865
K  0.801  0.551  0.250
O  0.089  0.642  0.053
O  0.578  0.328  0.250
Zn  0.849  0.000  0.349
K  0.199  0.449  0.750
Si  0.847  0.097  0.750
O  0.911  0.963  0.553
O  0.089  0.037  0.447
O  0.647  0.036  0.611
O  0.784  0.277  0.508
O  0.269  0.277  0.992
Be  0.000  0.825  0.825
O  0.513  0.379  0.735
O  0.731  0.723  0.008
O  0.513  0.778  0.135
Zn  0.151  0.500  0.151
O  0.144  0.379  0.365
O  0.924  0.036  0.889
O  0.216  0.723  0.492
Si  0.153  0.903  0.250
O  0.076  0.964  0.111
O  0.856  0.621  0.635
Si  0.223  0.633  0.590
Si  0.457  0.367  0.090
Be  0.500  0.175  0.675
Zn  0.849  0.500  0.849
O  0.911  0.358  0.947
Si  0.777  0.367  0.410
O  0.422  0.672  0.750
O  0.353  0.964  0.389
Zn  0.151  0.000  0.651
Si  0.543  0.633  0.910
Be  0.000  0.175  0.175
K  0.388  0.138  0.250

***

No. 3
Here is an optimized crystal structure of Ca2Al2Si6SnO22 from the Materials Project. Energies are from PBE.

## Properties
As for the spin magnetization: 4.00 μB/cell. The MP2020-corrected energy comes out at -7.307 eV/atom. Its final energy is -7.20 eV per atom.

Cell lengths 8.041, 7.423, 16.821 Å; angles 77.05, 90.00, 90.00 degrees
Sites, in units of the cell vectors:
O  0.362  0.237  0.870
Si  0.709  0.332  0.004
Si  0.354  0.683  0.663
O  0.638  0.763  0.130
O  0.700  0.847  0.484
O  0.521  0.148  0.378
O  0.483  0.742  0.992
Al  0.993  0.688  0.714
Si  0.336  0.283  0.961
Sn  0.500  0.000  0.500
Sn  0.000  0.000  0.000
Al  0.507  0.688  0.214
Ca  0.683  0.003  0.683
O  0.081  0.125  0.230
Si  0.146  0.683  0.163
O  0.701  0.239  0.788
O  0.763  0.405  0.908
O  0.237  0.595  0.092
O  0.334  0.832  0.450
Si  0.836  0.717  0.539
O  0.666  0.168  0.550
O  0.263  0.595  0.592
Si  0.209  0.668  0.496
O  0.299  0.761  0.212
O  0.017  0.742  0.492
O  0.979  0.148  0.878
Al  0.007  0.312  0.286
Ca  0.183  0.997  0.817
O  0.219  0.501  0.448
O  0.300  0.153  0.516
O  0.517  0.258  0.008
O  0.719  0.499  0.052
O  0.201  0.761  0.712
O  0.966  0.041  0.718
Si  0.664  0.717  0.039
O  0.862  0.763  0.630
Ca  0.317  0.997  0.317
Ca  0.817  0.003  0.183
O  0.581  0.875  0.270
O  0.737  0.405  0.408
O  0.021  0.852  0.122
O  0.034  0.959  0.282
O  0.544  0.476  0.275
Si  0.646  0.317  0.337
O  0.044  0.524  0.225
O  0.781  0.499  0.552
O  0.419  0.125  0.730
O  0.200  0.153  0.016
O  0.281  0.501  0.948
O  0.138  0.237  0.370
Al  0.493  0.312  0.786
O  0.466  0.959  0.782
O  0.983  0.258  0.508
Si  0.164  0.283  0.461
O  0.799  0.239  0.288
O  0.919  0.875  0.770
O  0.800  0.847  0.984
O  0.166  0.832  0.950
O  0.956  0.476  0.775
Si  0.791  0.332  0.504
O  0.834  0.168  0.050
O  0.479  0.852  0.622
Si  0.854  0.317  0.837
O  0.534  0.041  0.218
O  0.456  0.524  0.725
Si  0.291  0.668  0.996

***

No. 4
Here is an optimized crystal structure of PrNbO4 from the Materials Project. Energies are from PBE.

## Properties
The MP2020-corrected energy comes out at -9.284 eV/atom. Its final energy is -8.83 eV per atom.

Cell lengths 6.926, 6.926, 5.340 Å; angles 68.05, 68.05, 114.08 degrees
Sites, in units of the cell vectors:
O  0.947  0.364  0.841
Pr  0.374  0.626  0.750
Nb  0.116  0.884  0.250
O  0.211  0.284  0.328
O  0.364  0.947  0.341
O  0.636  0.053  0.659
O  0.284  0.211  0.828
O  0.789  0.716  0.672
Nb  0.884  0.116  0.750
O  0.053  0.636  0.159
Pr  0.626  0.374  0.250
O  0.716  0.789  0.172

***

No. 5
Here is an optimized crystal structure of Mn2FeC6N6 from the Materials Project. Energies are from PBE.

## Properties
As for the spin magnetization: 10.00 μB/cell. The MP2020-corrected energy comes out at -8.794 eV/atom. Its final energy is -8.65 eV per atom.

Cell lengths 6.037, 6.037, 6.428 Å; angles 90.00, 90.00, 120.00 degrees
Sites, in units of the cell vectors:
Mn  0.333  0.667  0.500
N  0.382  0.382  0.691
C  0.757  0.000  0.821
N  0.000  0.382  0.309
C  0.000  0.243  0.179
Mn  0.667  0.333  0.500
N  0.618  0.618  0.309
C  0.757  0.757  0.179
C  0.243  0.243  0.821
C  0.000  0.757  0.821
N  0.382  0.000  0.309
Fe  0.000  0.000  0.000
N  0.000  0.618  0.691
N  0.618  0.000  0.691
C  0.243  0.000  0.179

***

No. 6
Here is an optimized crystal structure of Fe3Ge from the Materials Project. Energies are from PBE.

## Properties
Its final energy is -7.61 eV per atom.

Cell lengths 3.635, 3.635, 3.635 Å; angles 90.00, 90.00, 90.00 degrees
Sites, in units of the cell vectors:
Ge  0.000  0.000  0.000
Fe  0.500  0.500  0.000
Fe  0.000  0.500  0.500
Fe  0.500  0.000  0.500

***

No. 7
Here is an optimized crystal structure of UCuGe from the Materials Project. Energies are from PBE.

## Properties
As for the spin magnetization: 2.98 μB/cell. Its final energy is -6.77 eV per atom.

Cell lengths 4.140, 4.140, 3.908 Å; angles 90.00, 90.00, 120.00 degrees
Sites, in units of the cell vectors:
Cu  0.000  0.000  0.500
U  0.667  0.333  0.000
Ge  0.333  0.667  0.500

***

No. 8
Here is an optimized crystal structure of Sr2ZnAs2 from the Materials Project. Energies are from PBE.

## Properties
As for the spin magnetization: 0.00 μB/cell. Its final energy is -3.62 eV per atom.

Cell lengths 4.380, 4.380, 8.566 Å; angles 90.00, 90.00, 120.00 degrees
Sites, in units of the cell vectors:
Sr  0.000  0.000  0.294
As  0.333  0.667  0.000
Zn  0.667  0.333  0.000
As  0.667  0.333  0.500
Sr  0.000  0.000  0.706

***

No. 9
Here is an optimized crystal structure of Pr2Ni12As7 from the Materials Project. Energies are from PBE.

## Properties
Its final energy is -5.84 eV per atom.

Cell lengths 9.402, 9.402, 3.896 Å; angles 90.00, 90.00, 120.00 degrees
Sites, in units of the cell vectors:
As  0.220  0.270  0.000
Ni  0.055  0.534  0.000
Ni  0.466  0.521  0.000
Ni  0.948  0.226  0.000
As  0.333  0.667  0.000
Ni  0.223  0.460  0.500
As  0.730  0.950  0.000
Ni  0.707  0.088  0.500
Ni  0.912  0.619  0.500
Ni  0.540  0.763  0.500
Ni  0.774  0.722  0.000
Pr  0.667  0.333  0.000
Ni  0.381  0.293  0.500
As  0.634  0.565  0.500
As  0.050  0.780  0.000
Pr  0.000  0.000  0.500
As  0.932  0.366  0.500
Ni  0.278  0.052  0.000
As  0.435  0.068  0.500
Ni  0.479  0.945  0.000
Ni  0.237  0.777  0.500

***

No. 10
Here is an optimized crystal structure of SnPO4 from the Materials Project. Energies are from PBE.

## Properties
As for the spin magnetization: 2.00 μB/cell. The MP2020-corrected energy comes out at -7.105 eV/atom. Its final energy is -6.65 eV per atom.

Cell lengths 8.132, 8.132, 9.709 Å; angles 89.74, 89.74, 117.58 degrees
Sites, in units of the cell vectors:
O  0.383  0.654  0.901
O  0.986  0.977  0.313
Sn  0.656  0.580  0.537
P  0.646  0.359  0.240
P  0.352  0.647  0.331
O  0.977  0.986  0.813
Sn  0.993  0.379  0.548
O  0.377  0.645  0.169
O  0.449  0.210  0.200
O  0.082  0.203  0.025
O  0.324  0.817  0.366
P  0.647  0.352  0.831
Sn  0.010  0.417  0.040
P  0.359  0.646  0.740
P  0.986  0.001  0.967
O  0.782  0.913  0.035
O  0.464  0.182  0.872
Sn  0.417  0.010  0.540
O  0.534  0.666  0.393
O  0.898  0.092  0.530
O  0.913  0.782  0.535
O  0.817  0.324  0.866
O  0.654  0.383  0.401
P  0.001  0.986  0.467
O  0.692  0.550  0.175
O  0.092  0.898  0.030
O  0.666  0.534  0.893
O  0.794  0.299  0.198
Sn  0.379  0.993  0.048
O  0.210  0.449  0.700
Sn  0.580  0.656  0.037
O  0.203  0.082  0.525
O  0.645  0.377  0.669
O  0.550  0.692  0.675
O  0.182  0.464  0.372
O  0.299  0.794  0.698

***

No. 11
Here is an optimized crystal structure of CdHgSe2 from the Materials Project. Energies are from PBE.

## Properties
The MP2020-corrected energy comes out at -2.701 eV/atom. Its final energy is -2.47 eV per atom. Its offset from the most stable computed form is 0.00 kJ per mole of atoms.

Cell lengths 4.416, 4.416, 6.232 Å; angles 90.00, 90.00, 90.00 degrees
Sites, in units of the cell vectors:
Se  0.500  0.000  0.747
Hg  0.000  0.000  0.000
Cd  0.500  0.500  0.500
Se  0.000  0.500  0.253

***

No. 12
Here is an optimized crystal structure of CdHgSeO6 from the Materials Project. Energies are from PBE.

## Properties
As for the spin magnetization: 4.00 μB/cell. The MP2020-corrected energy comes out at -4.652 eV/atom. Its final energy is -4.19 eV per atom.

Cell lengths 6.176, 6.934, 6.934 Å; angles 83.25, 84.25, 84.25 degrees
Sites, in units of the cell vectors:
Se  0.512  0.800  0.800
O  0.629  0.296  0.996
Cd  0.500  0.698  0.302
Hg  0.000  0.000  0.500
Se  0.488  0.200  0.200
O  0.371  0.704  0.004
O  0.759  0.844  0.844
O  0.629  0.996  0.296
Hg  0.000  0.500  0.000
Cd  0.500  0.302  0.698
O  0.371  0.004  0.704
O  0.528  0.636  0.636
O  0.870  0.267  0.577
O  0.870  0.577  0.267
O  0.130  0.733  0.423
O  0.241  0.156  0.156
O  0.472  0.364  0.364
O  0.130  0.423  0.733

***

Computed values of energy of formation from the pure elements (unit: eV per atom) for the preceding records, in sequence: -0.4581, -2.8120, -2.5515, -3.5054, 0.0186, -0.0996, -0.0968, -0.8299, -0.5248, -2.2357, -0.6467, -0.8286.